Record 1
# Ho2SO2

A relaxed structure of Ho2SO2 (PBE, the Materials Project database).

## Properties
space group	No. 164
DFT total energy	-39.316	eV/cell
DFT formation energy	-3.599	eV per atom

Structure (POSCAR):
```
Ho2SO2
1.0
1.8937 -3.2799 0.0000
1.8937 3.2799 0.0000
0.0000 0.0000 6.5890
Ho S O
2 1 2
Direct
0.6667 0.3333 0.7173
0.3333 0.6667 0.2827
0.0000 0.0000 0.0000
0.6667 0.3333 0.3706
0.3333 0.6667 0.6294
```



Record 2
# BaAl

A relaxed structure of BaAl (PBE, the Materials Project database).

## Properties
space group	No. 62
DFT total energy	-23.633	eV/cell
DFT formation energy	-0.122	eV per atom

Structure (POSCAR):
```
BaAl
1.0
4.7098 0.0000 0.0000
0.0000 6.4239 0.0000
0.0000 0.0000 9.8368
Ba Al
4 4
Direct
0.2500 0.0859 0.6786
0.7500 0.9141 0.3214
0.7500 0.5859 0.8214
0.2500 0.4141 0.1786
0.2500 0.9155 0.0226
0.7500 0.0845 0.9774
0.7500 0.4155 0.4774
0.2500 0.5845 0.5226
```



Record 3
# Sr3MgPtO6

A relaxed structure of Sr3MgPtO6 (PBE, the Materials Project database).

## Properties
space group	No. 167
DFT total energy	-134.413	eV/cell
DFT formation energy	-2.627	eV per atom

Structure (POSCAR):
```
Sr3MgPtO6
1.0
4.6874 -4.8686 0.0000
4.6874 4.8686 0.0000
-0.3693 0.0000 6.7482
Sr Mg Pt O
6 2 2 12
Direct
0.6147 0.2500 0.8853
0.8853 0.6147 0.2500
0.7500 0.1147 0.3853
0.3853 0.7500 0.1147
0.1147 0.3853 0.7500
0.2500 0.8853 0.6147
0.2500 0.2500 0.2500
0.7500 0.7500 0.7500
0.0000 0.0000 0.0000
0.5000 0.5000 0.5000
0.5948 0.7888 0.4645
0.4645 0.5948 0.7888
0.7888 0.4645 0.5948
0.9052 0.0355 0.7112
0.7112 0.9052 0.0355
0.0355 0.7112 0.9052
0.4052 0.2112 0.5355
0.5355 0.4052 0.2112
0.2112 0.5355 0.4052
0.0948 0.9645 0.2888
0.9645 0.2888 0.0948
0.2888 0.0948 0.9645
```



Copy entry 2 word for word.
# BaAl

A relaxed structure of BaAl (PBE, the Materials Project database).

## Properties
space group	No. 62
DFT total energy	-23.633	eV/cell
DFT formation energy	-0.122	eV per atom

Structure (POSCAR):
```
BaAl
1.0
4.7098 0.0000 0.0000
0.0000 6.4239 0.0000
0.0000 0.0000 9.8368
Ba Al
4 4
Direct
0.2500 0.0859 0.6786
0.7500 0.9141 0.3214
0.7500 0.5859 0.8214
0.2500 0.4141 0.1786
0.2500 0.9155 0.0226
0.7500 0.0845 0.9774
0.7500 0.4155 0.4774
0.2500 0.5845 0.5226
```



> What is the DFT formation energy in the third record?

-2.627 eV per atom



> The lowest DFT formation energy belongs to which entry?

Ho2SO2